# Al2PbSe4

An optimized crystal structure of Al2PbSe4 (PBE-GGA, Materials Project).

offset from the most stable computed form	0.003	eV/atom
space-group type	No. 6
calculated volume	27.291	A^3/atom

```
Al2PbSe4
1.0
6.290 0.000 0.000
0.000 11.045 0.000
-3.121 0.000 5.500
Al Pb Se
4 2 8
direct
0.000 0.000 0.000
0.010 0.500 0.991
0.458 0.500 0.708
0.474 0.000 0.518
0.737 0.250 0.253
0.737 0.750 0.253
0.045 0.500 0.392
0.237 0.167 0.259
0.237 0.833 0.259
0.422 0.500 0.075
0.587 0.000 0.944
0.735 0.334 0.772
0.735 0.666 0.772
0.887 0.000 0.575
```